Pr3Mg r²SCAN optimized geometry; size of the total moment = 0.000 μB/atom; space group = No. 139; total DFT energy (no corrections) = -23.1040 eV per atom
1.0
-2.515 2.515 5.145
2.515 -2.515 5.145
2.515 2.515 -5.145
Pr Mg
3 1
direct
0.000 0.000 0.000
0.250 0.750 0.500
0.750 0.250 0.500
0.500 0.500 0.000

=====

Sm4MgRh r²SCAN optimized geometry; size of the total moment = 0.000 μB/atom; space group = No. 216; total DFT energy (no corrections) = -24.9347 eV per atom
1.0
0.000 6.976 6.976
6.976 0.000 6.976
6.976 6.976 0.000
Sm Mg Rh
16 4 4
direct
0.062 0.062 0.438
0.062 0.438 0.062
0.062 0.438 0.438
0.187 0.187 0.813
0.187 0.813 0.187
0.187 0.813 0.813
0.211 0.596 0.596
0.438 0.062 0.062
0.438 0.062 0.438
0.438 0.438 0.062
0.596 0.211 0.596
0.596 0.596 0.211
0.596 0.596 0.596
0.813 0.187 0.187
0.813 0.187 0.813
0.813 0.813 0.187
0.513 0.829 0.829
0.829 0.513 0.829
0.829 0.829 0.513
0.829 0.829 0.829
0.392 0.392 0.392
0.392 0.392 0.824
0.392 0.824 0.392
0.824 0.392 0.392

=====

SmSi2Pt2 r²SCAN optimized geometry; size of the total moment = 0.000 μB/atom; space group = No. 129; total DFT energy (no corrections) = -31.2477 eV per atom
1.0
4.210 0.000 0.000
0.000 4.210 0.000
0.000 0.000 9.867
Sm Si Pt
2 4 4
direct
0.250 0.250 0.244
0.750 0.750 0.756
0.250 0.250 0.633
0.250 0.750 0.000
0.750 0.250 0.000
0.750 0.750 0.367
0.250 0.250 0.878
0.250 0.750 0.500
0.750 0.250 0.500
0.750 0.750 0.122